First-principles (PBE) data for a relaxed structure of Cs4InSbCl12, as listed in the Materials Project.

Unit cell a=7.6770 b=7.6770 c=10.6722 alpha=90.00 beta=90.00 gamma=90.00
Last column: nearest neighbours and their distance in Å.
Space group P4/mmm (No. 123)
One atom of each set of equivalent atoms:
Cs 0.0000 0.5000 0.2186  8 Cl 3.58-3.88
In 0.0000 0.0000 0.0000  6 Cl 2.56
Sb 0.5000 0.5000 0.5000  6 Cl 2.41
Cl 0.0000 0.0000 0.2394  1 In 2.56
Cl 0.2361 0.2361 0.0000  1 In 2.56
Cl 0.2778 0.2778 0.5000  1 Sb 2.41
Cl 0.5000 0.5000 0.2740  1 Sb 2.41

Computed properties:
For the formation energy, the calculation gives -33.08 eV per formula unit. The value obtained for the total energy after the MP2020 corrections is -65.73 eV per cell.